(1)
CaW2O4 | GGA+U | relaxed

Properties
The calculation puts the uncorrected energy at -50.46 eV per formula unit. For the total magnetic moment, the calculation gives 0.86 μB/atom. The calculation puts the excess energy over the best structure of this formula in the dataset at 1.7 kJ per mole of atoms. The calculation puts the formation enthalpy at 0 K at -198.1 kJ per mole of atoms.

a = 9.6028 Å, b = 3.2842 Å, c = 11.4724 Å
α = 90.00°, β = 90.00°, γ = 90.00°
Fractional positions:
1 Ca 0.2386 0.2500 0.1550
2 Ca 0.2614 0.7500 0.6550
3 Ca 0.7386 0.2500 0.3450
4 Ca 0.7614 0.7500 0.8450
5 W 0.0587 0.2500 0.3827
6 W 0.0889 0.2500 0.8984
7 W 0.4111 0.7500 0.3984
8 W 0.4413 0.7500 0.8827
9 W 0.5587 0.2500 0.1173
10 W 0.5889 0.2500 0.6016
11 W 0.9111 0.7500 0.1016
12 W 0.9413 0.7500 0.6173
13 O 0.0339 0.7500 0.7877
14 O 0.0850 0.2500 0.5744
15 O 0.1220 0.7500 0.0277
16 O 0.1978 0.7500 0.3232
17 O 0.3022 0.2500 0.8232
18 O 0.3780 0.2500 0.5277
19 O 0.4150 0.7500 0.0744
20 O 0.4661 0.2500 0.2877
21 O 0.5339 0.7500 0.7123
22 O 0.5850 0.2500 0.9256
23 O 0.6220 0.7500 0.4723
24 O 0.6978 0.7500 0.1768
25 O 0.8022 0.2500 0.6768
26 O 0.8780 0.2500 0.9723
27 O 0.9150 0.7500 0.4256
28 O 0.9661 0.2500 0.2123

=====

(2)
FeSi4O6 | GGA+U | relaxed

Properties
The calculation puts the uncorrected energy at -74.75 eV per formula unit. For the total magnetic moment, the calculation gives 0.45 μB/atom. The calculation puts the excess energy over the best structure of this formula in the dataset at 0.0 kJ per mole of atoms. The calculation puts the formation enthalpy at 0 K at -186.6 kJ per mole of atoms.

a = 2.8553 Å, b = 6.4630 Å, c = 10.4806 Å
α = 90.71°, β = 95.16°, γ = 100.19°
Fractional positions:
1 Fe 0.0000 0.0000 0.0000
2 Si 0.4585 0.2652 0.5910
3 Si 0.5635 0.3728 0.8111
4 Si 0.5779 0.6129 0.3705
5 Si 0.8161 0.9401 0.5798
6 O 0.0325 0.5619 0.2954
7 O 0.1260 0.5059 0.8390
8 O 0.4795 0.8789 0.0800
9 O 0.5215 0.1694 0.9052
10 O 0.5502 0.4711 0.5003
11 O 0.7099 0.8575 0.4250

=====

(3)
Fe3NiSn2P6O24 | GGA+U | relaxed

Properties
The calculation puts the uncorrected energy at -246.76 eV per formula unit. For the total magnetic moment, the calculation gives 0.44 μB/atom. The calculation puts the formation enthalpy at 0 K at -220.1 kJ per mole of atoms.

a = 8.6460 Å, b = 8.6460 Å, c = 8.6460 Å
α = 60.35°, β = 60.35°, γ = 60.35°
Fractional positions:
1 Fe 0.0000 0.0000 0.0000
2 Fe 0.2026 0.2026 0.2026
3 Fe 0.4990 0.4990 0.4990
4 Ni 0.7029 0.7029 0.7029
5 Sn 0.3496 0.3496 0.3496
6 Sn 0.8495 0.8495 0.8495
7 P 0.1005 0.3967 0.8083
8 P 0.3063 0.8920 0.6009
9 P 0.3967 0.8083 0.1005
10 P 0.6009 0.3063 0.8920
11 P 0.8083 0.1005 0.3967
12 P 0.8920 0.6009 0.3063
13 O 0.0335 0.2439 0.8455
14 O 0.0900 0.4411 0.2797
15 O 0.1019 0.9078 0.7623
16 O 0.1664 0.3552 0.9619
17 O 0.2439 0.8455 0.0335
18 O 0.2604 0.4148 0.6117
19 O 0.2797 0.0900 0.4411
20 O 0.3426 0.7377 0.5377
21 O 0.3552 0.9619 0.1664
22 O 0.4148 0.6117 0.2604
23 O 0.4411 0.2797 0.0900
24 O 0.4528 0.8623 0.6669
25 O 0.5377 0.3426 0.7377
26 O 0.5969 0.7931 0.9409
27 O 0.6117 0.2604 0.4148
28 O 0.6669 0.4528 0.8623
29 O 0.7377 0.5377 0.3426
30 O 0.7623 0.1019 0.9078
31 O 0.7931 0.9409 0.5969
32 O 0.8455 0.0335 0.2439
33 O 0.8623 0.6669 0.4528
34 O 0.9078 0.7623 0.1019
35 O 0.9409 0.5969 0.7931
36 O 0.9619 0.1664 0.3552

=====

(4)
LiCoC2O6 | GGA+U | relaxed

Properties
The calculation puts the uncorrected energy at -68.79 eV per formula unit. For the total magnetic moment, the calculation gives 0.20 μB/atom. The calculation puts the excess energy over the best structure of this formula in the dataset at 2.9 kJ per mole of atoms. The calculation puts the formation enthalpy at 0 K at -167.7 kJ per mole of atoms.

a = 6.4939 Å, b = 9.3527 Å, c = 9.3537 Å
α = 113.09°, β = 103.21°, γ = 102.80°
Fractional positions:
1 Li 0.0000 0.0000 0.0000
2 Li 0.0309 0.5028 0.5099
3 Li 0.1776 0.8756 0.3735
4 Li 0.2191 0.3811 0.8886
5 Co 0.3673 0.2885 0.3550
6 Co 0.3670 0.7920 0.8563
7 Co 0.8306 0.0243 0.5907
8 Co 0.8388 0.5235 0.0865
9 C 0.0040 0.3405 0.1631
10 C 0.2152 0.2260 0.5491
11 C 0.2262 0.7239 0.0432
12 C 0.4544 0.8538 0.6541
13 C 0.4890 0.3570 0.1580
14 C 0.7194 0.2167 0.5242
15 C 0.7450 0.7347 0.0267
16 C 0.9650 0.8305 0.6508
17 O 0.0183 0.7185 0.6759
18 O 0.0600 0.2257 0.1889
19 O 0.1638 0.2024 0.6638
20 O 0.1718 0.6937 0.1532
21 O 0.2432 0.3667 0.5439
22 O 0.2500 0.1133 0.4289
23 O 0.2574 0.8672 0.0432
24 O 0.2631 0.6163 0.9200
25 O 0.4167 0.7070 0.6464
26 O 0.4340 0.2062 0.1333
27 O 0.4482 0.9619 0.7922
28 O 0.4865 0.8860 0.5396
29 O 0.4886 0.4675 0.2946
30 O 0.5317 0.3957 0.0448
31 O 0.6779 0.3299 0.4893
32 O 0.7061 0.8499 0.9952
33 O 0.7321 0.5941 0.9132
34 O 0.7352 0.0834 0.4172
35 O 0.7603 0.2283 0.6714
36 O 0.8075 0.7530 0.1777
37 O 0.9321 0.8365 0.5096
38 O 0.9324 0.9547 0.7617
39 O 0.9632 0.4562 0.2734
40 O 0.9783 0.3416 0.0213

=====

(5)
NdFeO3 | GGA+U | relaxed

Properties
The calculation puts the uncorrected energy at -34.43 eV per formula unit. For the total magnetic moment, the calculation gives 0.60 μB/atom. The calculation puts the formation enthalpy at 0 K at -205.8 kJ per mole of atoms.

a = 5.1256 Å, b = 12.1483 Å, c = 4.5233 Å
α = 90.00°, β = 90.00°, γ = 90.00°
Fractional positions:
1 Nd 0.1083 0.2500 0.0340
2 Nd 0.3917 0.7500 0.5340
3 Nd 0.6083 0.2500 0.4660
4 Nd 0.8917 0.7500 0.9660
5 Fe 0.0000 0.0000 0.0000
6 Fe 0.0000 0.5000 0.0000
7 Fe 0.5000 0.0000 0.5000
8 Fe 0.5000 0.5000 0.5000
9 O 0.0332 0.2500 0.5491
10 O 0.2394 0.5614 0.7343
11 O 0.2394 0.9386 0.7343
12 O 0.2606 0.0614 0.2343
13 O 0.2606 0.4386 0.2343
14 O 0.4668 0.7500 0.0491
15 O 0.5332 0.2500 0.9509
16 O 0.7394 0.5614 0.7657
17 O 0.7394 0.9386 0.7657
18 O 0.7606 0.0614 0.2657
19 O 0.7606 0.4386 0.2657
20 O 0.9668 0.7500 0.4509

=====

(6)
MgFeF4 | GGA+U | relaxed

Properties
The calculation puts the uncorrected energy at -30.39 eV per formula unit. For the total magnetic moment, the calculation gives 0.00 μB/atom. The calculation puts the excess energy over the best structure of this formula in the dataset at 27.7 kJ per mole of atoms. The calculation puts the formation enthalpy at 0 K at -269.6 kJ per mole of atoms.

a = 6.2828 Å, b = 6.2828 Å, c = 5.0787 Å
α = 113.64°, β = 113.64°, γ = 47.91°
Fractional positions:
1 Mg 0.0000 0.0000 0.0000
2 Mg 0.5015 0.4985 0.5000
3 Fe 0.2461 0.2554 0.7542
4 Fe 0.7446 0.7539 0.2458
5 F 0.0969 0.6619 0.1519
6 F 0.1638 0.6004 0.6565
7 F 0.3381 0.9031 0.8481
8 F 0.3996 0.8362 0.3435
9 F 0.5976 0.1674 0.1018
10 F 0.6717 0.0924 0.6031
11 F 0.8326 0.4024 0.8982
12 F 0.9076 0.3283 0.3969

=====

no.,energy with MP2020 corrections (eV per atom)
1,-8.8695
2,-7.3755
3,-7.5710
4,-7.4548
5,-7.7491
6,-5.7488